Rb3SbS3: optimized geometry, r²SCAN.

Properties
* calculated volume: 34.58 Å³ per atom
* electronic total energy: -14.2234 eV per atom
* energy of formation from the pure elements: -8.0 eV per formula unit

Cell: 9.8932 9.8932 9.8932 Å, 90.00 90.00 90.00°
Element x y z (fractional)
Rb (0.6782, 0.1782, 0.3218)
Rb (0.0590, 0.0590, 0.0590)
Rb (0.4369, 0.0631, 0.9369)
Rb (0.9410, 0.5590, 0.4410)
Rb (0.5631, 0.5631, 0.5631)
Rb (0.5590, 0.4410, 0.9410)
Rb (0.9369, 0.4369, 0.0631)
Rb (0.1782, 0.3218, 0.6782)
Rb (0.0631, 0.9369, 0.4369)
Rb (0.3218, 0.6782, 0.1782)
Rb (0.8218, 0.8218, 0.8218)
Rb (0.4410, 0.9410, 0.5590)
S (0.2443, 0.6547, 0.5409)
S (0.9591, 0.7557, 0.1547)
S (0.4591, 0.7443, 0.8453)
S (0.5409, 0.2443, 0.6547)
S (0.3453, 0.0409, 0.2557)
S (0.0409, 0.2557, 0.3453)
S (0.6547, 0.5409, 0.2443)
S (0.7443, 0.8453, 0.4591)
S (0.1547, 0.9591, 0.7557)
S (0.7557, 0.1547, 0.9591)
S (0.8453, 0.4591, 0.7443)
S (0.2557, 0.3453, 0.0409)
Sb (0.7232, 0.7768, 0.2232)
Sb (0.2768, 0.2768, 0.2768)
Sb (0.7768, 0.2232, 0.7232)
Sb (0.2232, 0.7232, 0.7768)

=====

Mg3Co2Ge3O12: optimized geometry, r²SCAN.

Properties
* calculated volume: 10.07 Å³ per atom
* electronic total energy: -9.6361 eV per atom
* energy of formation from the pure elements: -40.5 eV per formula unit

Cell: 10.1525 10.1525 10.1525 Å, 109.47 109.47 109.47°
Element x y z (fractional)
O (0.2949, 0.3227, 0.9193)
O (0.5278, 0.4034, 0.8227)
O (0.2051, 0.1244, 0.0278)
O (0.8227, 0.5278, 0.4034)
O (0.5966, 0.1773, 0.4722)
O (0.5807, 0.9034, 0.3756)
O (0.4034, 0.0807, 0.8756)
O (0.1773, 0.4722, 0.5966)
O (0.4722, 0.5966, 0.1773)
O (0.5807, 0.1773, 0.2051)
O (0.6244, 0.4193, 0.0966)
O (0.2949, 0.4722, 0.3756)
O (0.7051, 0.5278, 0.6244)
O (0.7949, 0.8756, 0.9722)
O (0.9193, 0.2949, 0.3227)
O (0.0807, 0.8756, 0.4034)
O (0.1244, 0.5966, 0.9193)
O (0.7949, 0.4193, 0.8227)
O (0.3227, 0.9193, 0.2949)
O (0.6773, 0.0807, 0.7051)
O (0.0807, 0.7051, 0.6773)
O (0.8756, 0.9722, 0.7949)
O (0.4193, 0.0966, 0.6244)
O (0.0278, 0.2051, 0.1244)
O (0.5966, 0.9193, 0.1244)
O (0.4034, 0.8227, 0.5278)
O (0.2051, 0.5807, 0.1773)
O (0.3227, 0.9034, 0.0278)
O (0.3756, 0.5807, 0.9034)
O (0.4722, 0.3756, 0.2949)
O (0.3756, 0.2949, 0.4722)
O (0.6244, 0.7051, 0.5278)
O (0.8227, 0.7949, 0.4193)
O (0.0278, 0.3227, 0.9034)
O (0.7051, 0.6773, 0.0807)
O (0.6773, 0.0966, 0.9722)
O (0.9034, 0.3756, 0.5807)
O (0.1773, 0.2051, 0.5807)
O (0.0966, 0.6244, 0.4193)
O (0.9034, 0.0278, 0.3227)
O (0.9193, 0.1244, 0.5966)
O (0.8756, 0.4034, 0.0807)
O (0.1244, 0.0278, 0.2051)
O (0.9722, 0.7949, 0.8756)
O (0.0966, 0.9722, 0.6773)
O (0.5278, 0.6244, 0.7051)
O (0.9722, 0.6773, 0.0966)
O (0.4193, 0.8227, 0.7949)
Co (0.5000, 0.0000, 0.5000)
Co (0.5000, 0.0000, 0.0000)
Co (0.0000, 0.5000, 0.0000)
Co (0.0000, 0.0000, 0.5000)
Co (0.5000, 0.5000, 0.5000)
Co (0.0000, 0.0000, 0.0000)
Co (0.5000, 0.5000, 0.0000)
Co (0.0000, 0.5000, 0.5000)
Ge (0.6250, 0.7500, 0.3750)
Ge (0.6250, 0.3750, 0.2500)
Ge (0.8750, 0.2500, 0.1250)
Ge (0.2500, 0.1250, 0.8750)
Ge (0.3750, 0.6250, 0.7500)
Ge (0.3750, 0.2500, 0.6250)
Ge (0.7500, 0.8750, 0.1250)
Ge (0.1250, 0.7500, 0.8750)
Ge (0.7500, 0.3750, 0.6250)
Ge (0.1250, 0.8750, 0.2500)
Ge (0.8750, 0.1250, 0.7500)
Ge (0.2500, 0.6250, 0.3750)
Mg (0.7500, 0.1250, 0.3750)
Mg (0.8750, 0.6250, 0.2500)
Mg (0.2500, 0.3750, 0.1250)
Mg (0.6250, 0.2500, 0.8750)
Mg (0.3750, 0.1250, 0.2500)
Mg (0.3750, 0.7500, 0.1250)
Mg (0.8750, 0.7500, 0.6250)
Mg (0.2500, 0.8750, 0.6250)
Mg (0.1250, 0.3750, 0.7500)
Mg (0.6250, 0.8750, 0.7500)
Mg (0.1250, 0.2500, 0.3750)
Mg (0.7500, 0.6250, 0.8750)

=====

Zr4O: optimized geometry, r²SCAN.

Properties
* calculated volume: 19.13 Å³ per atom
* electronic total energy: -20.6344 eV per atom
* energy of formation from the pure elements: -6.2 eV per formula unit

Cell: 5.6530 5.6517 10.8763 Å, 74.94 89.99 59.97°
Element x y z (fractional)
Zr (0.2822, 0.7520, 0.8744)
Zr (0.2181, 0.2474, 0.6264)
Zr (0.9657, 0.4080, 0.8745)
Zr (0.0419, 0.5856, 0.1275)
Zr (0.4583, 0.4139, 0.3732)
Zr (0.1274, 0.0856, 0.3733)
Zr (0.6264, 0.0913, 0.8745)
Zr (0.5346, 0.5915, 0.6263)
Zr (0.8738, 0.9082, 0.6263)
Zr (0.7136, 0.2452, 0.1276)
Zr (0.3729, 0.9139, 0.1275)
Zr (0.7867, 0.7543, 0.3732)
O (0.5000, 0.9998, 0.5002)
O (0.0002, 0.9997, 0.0005)
O (0.2501, 0.4997, 0.7504)

=====

Q: Among the records above, which one has the lowest electronic total energy?
A: Zr4O